No. 1
Below is KCeNdMnO6 after structural relaxation, with properties calculated at the GGA+U level.

It has space group F-43m (No. 216), with a = 8.1977 Å, b = 8.1977 Å, c = 8.1977 Å, α = 90.00°, β = 90.00° and γ = 90.00°. The inequivalent atoms are K at (0.0000, 0.0000, 0.0000), Ce at (0.2500, 0.2500, 0.2500), Nd at (0.0000, 0.0000, 0.5000), Mn at (0.2500, 0.2500, 0.7500) and O at (0.0167, 0.2500, 0.7500).

The density is 5.72 g/cm3. The calculated formation energy comes out at -2.783 eV/atom.

=====

No. 2
Below is KCeMo2O8 after structural relaxation, with properties calculated at the GGA+U level.

It has space group I-4 (No. 82), with a = 5.4618 Å, b = 5.4618 Å, c = 12.2362 Å, α = 90.00°, β = 90.00° and γ = 90.00°. The inequivalent atoms are K at (0.0000, 0.0000, 0.0000), Ce at (0.0000, 0.5000, 0.2500), Mo at (0.0000, 0.0000, 0.5000), Mo at (0.0000, 0.5000, 0.7500), O at (0.1205, 0.2405, 0.4137) and O at (0.1517, 0.7423, 0.8243).

The density is 4.54 g/cm3. The calculated formation energy comes out at -2.491 eV/atom.

=====

No. 3
Below is KCeSnWO6 after structural relaxation, with properties calculated at the GGA+U level.

It has space group P4_2/mmc (No. 131), with a = 6.0313 Å, b = 6.0313 Å, c = 8.4997 Å, α = 90.00°, β = 90.00° and γ = 90.00°. The inequivalent atoms are K at (0.0000, 0.0000, 0.2500), Ce at (0.0000, 0.5000, 0.0000), Sn at (0.5000, 0.5000, 0.2500), W at (0.0000, 0.5000, 0.5000), O at (0.0000, 0.5000, 0.2691) and O at (0.2353, 0.2748, 0.5000).

The density is 6.21 g/cm3. The calculated formation energy comes out at -2.422 eV/atom.

=====

No. 4
Below is KCeSnWO6 after structural relaxation, with properties calculated at the GGA+U level.

It has space group F-43m (No. 216), with a = 8.5101 Å, b = 8.5101 Å, c = 8.5101 Å, α = 90.00°, β = 90.00° and γ = 90.00°. The inequivalent atoms are K at (0.0000, 0.0000, 0.0000), Ce at (0.2500, 0.2500, 0.7500), Sn at (0.0000, 0.0000, 0.5000), W at (0.2500, 0.2500, 0.2500) and O at (0.0198, 0.2500, 0.2500).

The density is 6.23 g/cm3. The calculated formation energy comes out at -2.420 eV/atom.

=====

No. 5
Below is LaCeMn2O6 after structural relaxation, with properties calculated at the GGA+U level.

It has space group R32 (No. 155, hexagonal axes), with a = 5.6769 Å, b = 5.6769 Å, c = 13.5407 Å, α = 90.00°, β = 90.00° and γ = 120.00°. The inequivalent atoms are La at (0.0000, 0.0000, 0.0000), Ce at (0.0000, 0.0000, 0.5000), Mn at (0.0000, 0.0000, 0.2506), O at (0.0000, 0.3948, 0.5000) and O at (0.0000, 0.5845, 0.0000).

The density is 6.39 g/cm3. The calculated formation energy comes out at -2.982 eV/atom.

=====

No. 6
Below is NaLaCeNiO6 after structural relaxation, with properties calculated at the GGA+U level.

It has space group F-43m (No. 216), with a = 8.0490 Å, b = 8.0490 Å, c = 8.0490 Å, α = 90.00°, β = 90.00° and γ = 90.00°. The inequivalent atoms are Na at (0.0000, 0.0000, 0.0000), La at (0.0000, 0.0000, 0.5000), Ce at (0.2500, 0.2500, 0.7500), Ni at (0.2500, 0.2500, 0.2500) and O at (0.0189, 0.2500, 0.2500).

The density is 5.82 g/cm3. The calculated formation energy comes out at -2.480 eV/atom.

=====

No. 7
Below is LiCeMo2O8 after structural relaxation, with properties calculated at the GGA+U level.

It has space group I-4 (No. 82), with a = 5.3109 Å, b = 5.3109 Å, c = 11.4715 Å, α = 90.00°, β = 90.00° and γ = 90.00°. The inequivalent atoms are Li at (0.0000, 0.0000, 0.0000), Ce at (0.0000, 0.5000, 0.2500), Mo at (0.0000, 0.0000, 0.5000), Mo at (0.0000, 0.5000, 0.7500), O at (0.1463, 0.7574, 0.4128) and O at (0.1527, 0.2512, 0.8336).

The density is 4.79 g/cm3. The calculated formation energy comes out at -2.467 eV/atom.

=====

No. 8
Below is Li2CePrMo4O16 after structural relaxation, with properties calculated at the GGA+U level.

It has space group P-4 (No. 81), with a = 5.3224 Å, b = 5.3224 Å, c = 11.5373 Å, α = 90.00°, β = 90.00° and γ = 90.00°. The inequivalent atoms are Li at (0.0000, 0.5000, 0.2499), Ce at (0.0000, 0.0000, 0.0000), Pr at (0.5000, 0.5000, 0.5000), Mo at (0.0000, 0.0000, 0.5000), Mo at (0.0000, 0.5000, 0.7503), Mo at (0.5000, 0.5000, 0.0000), O at (0.1458, 0.2570, 0.8366), O at (0.1485, 0.7544, 0.4161), O at (0.2423, 0.6465, 0.6638) and O at (0.2540, 0.3505, 0.0836).

The density is 4.75 g/cm3. The calculated formation energy comes out at -2.479 eV/atom.